[1]
Below is a relaxed K7LiSi8 crystal, with properties calculated at the PBE-GGA level.

a = 12.5613 Å, b = 12.5613 Å, c = 12.5613 Å
α = 90.00°, β = 90.00°, γ = 90.00°
Fractional positions:
Si1 0.9323 0.0525 0.6979
Si2 0.5677 0.5525 0.6979
Si3 0.5525 0.6979 0.5677
Si4 0.4475 0.1979 0.9323
Si5 0.6954 0.6954 0.6954
Si6 0.8021 0.0677 0.5525
Si7 0.8021 0.4323 0.0525
Si8 0.9475 0.3021 0.0677
Si9 0.0677 0.5525 0.8021
Si10 0.1979 0.9323 0.4475
Si11 0.3046 0.3046 0.3046
Si12 0.8046 0.1954 0.6954
Si13 0.9323 0.4475 0.1979
Si14 0.5677 0.9475 0.1979
Si15 0.5525 0.8021 0.0677
Si16 0.6954 0.8046 0.1954
Si17 0.1954 0.6954 0.8046
Si18 0.3021 0.4323 0.4475
Si19 0.4323 0.0525 0.8021
Si20 0.9475 0.1979 0.5677
Si21 0.4475 0.3021 0.4323
Si22 0.6979 0.5677 0.5525
Si23 0.0677 0.9475 0.3021
Si24 0.3021 0.0677 0.9475
Si25 0.3046 0.1954 0.8046
Si26 0.6979 0.9323 0.0525
Si27 0.4323 0.4475 0.3021
Si28 0.1979 0.5677 0.9475
Si29 0.0525 0.6979 0.9323
Si30 0.0525 0.8021 0.4323
Si31 0.8046 0.3046 0.1954
Si32 0.1954 0.8046 0.3046
K1 0.2269 0.1896 0.5435
K2 0.1896 0.5435 0.2269
K3 0.9565 0.7269 0.1896
K4 0.3104 0.0435 0.2269
K5 0.8104 0.0435 0.2731
K6 0.4565 0.7269 0.3104
K7 0.7731 0.6896 0.9565
K8 0.2731 0.8104 0.0435
K9 0.0000 0.5000 0.5000
K10 0.2269 0.3104 0.0435
K11 0.3104 0.4565 0.7269
K12 0.0435 0.2269 0.3104
K13 0.6896 0.5435 0.2731
K14 0.4565 0.7731 0.8104
K15 0.1896 0.9565 0.7269
K16 0.5000 0.0000 0.5000
K17 0.5435 0.2269 0.1896
K18 0.6896 0.9565 0.7731
K19 0.7269 0.1896 0.9565
K20 0.0435 0.2731 0.8104
K21 0.5000 0.5000 0.0000
K22 0.2731 0.6896 0.5435
K23 0.8104 0.4565 0.7731
K24 0.7269 0.3104 0.4565
K25 0.9565 0.7731 0.6896
K26 0.5435 0.2731 0.6896
K27 0.0000 0.0000 0.0000
K28 0.7731 0.8104 0.4565
Li1 0.5000 0.0000 0.0000
Li2 0.0000 0.5000 0.0000
Li3 0.0000 0.0000 0.5000
Li4 0.5000 0.5000 0.5000

Output
As for the energy relative to the elements: -104.6 kJ/mol of formula units.

=====

[2]
Below is a relaxed K3LiSi4 crystal, with properties calculated at the PBE-GGA level.

a = 7.6739 Å, b = 9.7898 Å, c = 12.2952 Å
α = 90.00°, β = 90.00°, γ = 90.00°
Fractional positions:
Si1 0.2845 0.3715 0.5480
Si2 0.7155 0.8715 0.4520
Si3 0.4885 0.7500 0.0827
Si4 0.8612 0.7500 0.6007
Si5 0.1388 0.2500 0.3993
Si6 0.5115 0.2500 0.9173
Si7 0.2155 0.6285 0.0480
Si8 0.3612 0.7500 0.8993
Si9 0.9885 0.7500 0.4173
Si10 0.7155 0.6285 0.4520
Si11 0.7845 0.1285 0.9520
Si12 0.2155 0.8715 0.0480
Si13 0.0115 0.2500 0.5827
Si14 0.6388 0.2500 0.1007
Si15 0.2845 0.1285 0.5480
Si16 0.7845 0.3715 0.9520
Li1 0.5000 0.5000 0.0000
Li2 0.0000 0.0000 0.5000
Li3 0.0000 0.5000 0.5000
Li4 0.5000 0.0000 0.0000
K1 0.3460 0.9452 0.3065
K2 0.8447 0.7500 0.8989
K3 0.6540 0.4452 0.6935
K4 0.1540 0.4452 0.8065
K5 0.6540 0.0548 0.6935
K6 0.3447 0.7500 0.6011
K7 0.1540 0.0548 0.8065
K8 0.8460 0.5548 0.1935
K9 0.8460 0.9452 0.1935
K10 0.3460 0.5548 0.3065
K11 0.1553 0.2500 0.1011
K12 0.6553 0.2500 0.3989

Output
As for the energy relative to the elements: -58.8 kJ/mol of formula units. For the total magnetization, the calculation gives 0.00 μB/cell.

=====

[3]
Below is a relaxed K2LiSn4 crystal, with properties calculated at the PBE-GGA level.

a = 15.7810 Å, b = 15.7810 Å, c = 19.1862 Å
α = 65.72°, β = 65.72°, γ = 89.97°
Fractional positions:
Sn1 0.7725 0.7643 0.6168
Sn2 0.3931 0.7619 0.8724
Sn3 0.6939 0.4015 0.9473
Sn4 0.3654 0.3186 0.0305
Sn5 0.2626 0.7376 0.3674
Sn6 0.1134 0.2643 0.6172
Sn7 0.2381 0.6069 0.6276
Sn8 0.7619 0.3931 0.3724
Sn9 0.7367 0.8514 0.3644
Sn10 0.6409 0.0972 0.0493
Sn11 0.2643 0.1134 0.1172
Sn12 0.2357 0.2275 0.8832
Sn13 0.6346 0.6814 0.9695
Sn14 0.3460 0.8077 0.5527
Sn15 0.9028 0.3591 0.4507
Sn16 0.6540 0.1923 0.4473
Sn17 0.2633 0.1486 0.6356
Sn18 0.5963 0.7951 0.0726
Sn19 0.8672 0.9040 0.4269
Sn20 0.0972 0.6409 0.5493
Sn21 0.2389 0.8729 0.8715
Sn22 0.7611 0.1271 0.1285
Sn23 0.1340 0.3489 0.9662
Sn24 0.6325 0.1060 0.6286
Sn25 0.3489 0.1340 0.4662
Sn26 0.2049 0.4037 0.4274
Sn27 0.1923 0.6540 0.9473
Sn28 0.5985 0.3061 0.5527
Sn29 0.8514 0.7367 0.8644
Sn30 0.8499 0.1409 0.5563
Sn31 0.8591 0.1501 0.9437
Sn32 0.2275 0.2357 0.3832
Sn33 0.6069 0.2381 0.1276
Sn34 0.8940 0.3675 0.8714
Sn35 0.8866 0.7357 0.3828
Sn36 0.7376 0.2626 0.8674
Sn37 0.6814 0.6346 0.4695
Sn38 0.9040 0.8672 0.9269
Sn39 0.3061 0.5985 0.0527
Sn40 0.7357 0.8866 0.8828
Sn41 0.4015 0.6939 0.4473
Sn42 0.8729 0.2389 0.3715
Sn43 0.7374 0.2624 0.6326
Sn44 0.2624 0.7374 0.1326
Sn45 0.6511 0.8660 0.5338
Sn46 0.1486 0.2633 0.1356
Sn47 0.6020 0.6492 0.6385
Sn48 0.3591 0.9028 0.9507
Sn49 0.7643 0.7725 0.1168
Sn50 0.3508 0.3980 0.8615
Sn51 0.1409 0.8499 0.0563
Sn52 0.8660 0.6511 0.0338
Sn53 0.1501 0.8591 0.4437
Sn54 0.8077 0.3460 0.0527
Sn55 0.7951 0.5963 0.5726
Sn56 0.3675 0.8940 0.3714
Sn57 0.1328 0.0960 0.5731
Sn58 0.3186 0.3654 0.5305
Sn59 0.4037 0.2049 0.9274
Sn60 0.1060 0.6325 0.1286
Sn61 0.1271 0.7611 0.6285
Sn62 0.0960 0.1328 0.0731
Sn63 0.3980 0.3508 0.3615
Sn64 0.6492 0.6020 0.1385
K1 0.3637 0.1322 0.2498
K2 0.5618 0.0404 0.3673
K3 0.1322 0.3637 0.7498
K4 0.0890 0.0615 0.8663
K5 0.6467 0.3533 0.2500
K6 0.8772 0.1228 0.2500
K7 0.5695 0.5383 0.3719
K8 0.8859 0.1141 0.7500
K9 0.0404 0.5618 0.8673
K10 0.0724 0.5909 0.3646
K11 0.3953 0.1312 0.7567
K12 0.6047 0.8688 0.2433
K13 0.4091 0.9276 0.1354
K14 0.9276 0.4091 0.6354
K15 0.5383 0.5695 0.8719
K16 0.4382 0.9596 0.6327
K17 0.8678 0.6363 0.2502
K18 0.3886 0.6114 0.2500
K19 0.1141 0.8859 0.2500
K20 0.9596 0.4382 0.1327
K21 0.8688 0.6047 0.7433
K22 0.6363 0.8678 0.7502
K23 0.4305 0.4617 0.6281
K24 0.0615 0.0890 0.3663
K25 0.9110 0.9385 0.1337
K26 0.6114 0.3886 0.7500
K27 0.3533 0.6467 0.7500
K28 0.1312 0.3953 0.2567
K29 0.1228 0.8772 0.7500
K30 0.4617 0.4305 0.1281
K31 0.5909 0.0724 0.8646
K32 0.9385 0.9110 0.6337
Li1 0.2423 0.9540 0.5033
Li2 0.4588 0.2486 0.4979
Li3 0.9540 0.2423 0.0033
Li4 0.2481 0.5424 0.4986
Li5 0.4576 0.7519 0.0014
Li6 0.9573 0.7516 0.4988
Li7 0.7514 0.5412 0.0021
Li8 0.5412 0.7514 0.5021
Li9 0.5424 0.2481 0.9986
Li10 0.2486 0.4588 0.9979
Li11 0.2484 0.0427 0.0012
Li12 0.7516 0.9573 0.9988
Li13 0.7577 0.0460 0.4967
Li14 0.7519 0.4576 0.5014
Li15 0.0460 0.7577 0.9967
Li16 0.0427 0.2484 0.5012

Output
As for the energy relative to the elements: -198.0 kJ/mol of formula units. For the total magnetization, the calculation gives 0.00 μB/cell.

=====

[4]
Below is a relaxed K3Lu crystal, with properties calculated at the PBE-GGA level.

a = 6.0877 Å, b = 6.0877 Å, c = 6.0877 Å
α = 90.00°, β = 90.00°, γ = 90.00°
Fractional positions:
K1 0.5000 0.0000 0.5000
K2 0.0000 0.5000 0.5000
K3 0.5000 0.5000 0.0000
Lu1 0.0000 0.0000 0.0000

Output
As for the energy relative to the elements: 223.9 kJ/mol of formula units. For the total magnetization, the calculation gives 0.44 μB/cell.

=====

[5]
Below is a relaxed KLuO3 crystal, with properties calculated at the PBE-GGA level.

a = 4.3756 Å, b = 4.3756 Å, c = 4.3756 Å
α = 90.00°, β = 90.00°, γ = 90.00°
Fractional positions:
Lu1 0.5000 0.5000 0.5000
O1 0.0000 0.5000 0.5000
O2 0.5000 0.0000 0.5000
O3 0.5000 0.5000 0.0000
K1 0.0000 0.0000 0.0000

Output
As for the energy relative to the elements: -1149.8 kJ/mol of formula units. For the total magnetization, the calculation gives 2.00 μB/cell.

=====

[6]
Below is a relaxed K3LuP2O8 crystal, with properties calculated at the PBE-GGA level.

a = 5.6477 Å, b = 7.7854 Å, c = 9.4549 Å
α = 88.06°, β = 90.00°, γ = 90.00°
Fractional positions:
K1 0.2500 0.2233 0.9230
K2 0.2500 0.4997 0.2072
K3 0.7500 0.3142 0.4230
K4 0.7500 0.5003 0.7928
K5 0.7500 0.7767 0.0770
K6 0.2500 0.6858 0.5770
P1 0.7500 0.2250 0.0982
P2 0.2500 0.7750 0.9018
P3 0.2500 0.2157 0.5717
P4 0.7500 0.7843 0.4283
O1 0.7500 0.9485 0.5171
O2 0.5235 0.1530 0.1757
O3 0.0255 0.2153 0.6703
O4 0.5255 0.7847 0.3297
O5 0.7500 0.4223 0.1005
O6 0.4765 0.8470 0.8243
O7 0.2500 0.8381 0.0573
O8 0.9765 0.1530 0.1757
O9 0.2500 0.3747 0.4721
O10 0.4745 0.2153 0.6703
O11 0.2500 0.0515 0.4829
O12 0.2500 0.5777 0.8995
O13 0.7500 0.1619 0.9427
O14 0.7500 0.6253 0.5279
O15 0.0235 0.8470 0.8243
O16 0.9745 0.7847 0.3297
Lu1 0.2500 0.9755 0.2657
Lu2 0.7500 0.0245 0.7343

Output
As for the energy relative to the elements: -4056.6 kJ/mol of formula units. For the total magnetization, the calculation gives 0.00 μB/cell. For the relative energy among the computed polymorphs, the calculation gives 3 meV per atom.

=====

[7]
Below is a relaxed KLuP2O7 crystal, with properties calculated at the PBE-GGA level.

a = 10.8369 Å, b = 7.6359 Å, c = 8.6178 Å
α = 73.16°, β = 90.00°, γ = 90.00°
Fractional positions:
O1 0.4042 0.1394 0.5079
O2 0.1127 0.3366 0.4844
O3 0.4161 0.6357 0.7601
O4 0.7705 0.9270 0.7402
O5 0.7794 0.5441 0.2339
O6 0.2206 0.4559 0.7661
O7 0.5734 0.6628 0.3051
O8 0.3873 0.3366 0.9844
O9 0.0007 0.9900 0.7141
O10 0.4993 0.9900 0.2141
O11 0.0958 0.1394 0.0079
O12 0.0839 0.6357 0.2601
O13 0.5839 0.3643 0.2399
O14 0.9161 0.3643 0.7399
O15 0.2794 0.4559 0.2661
O16 0.5007 0.0100 0.7859
O17 0.2705 0.0730 0.7598
O18 0.0734 0.3372 0.1949
O19 0.6127 0.6634 0.0156
O20 0.2295 0.0730 0.2598
O21 0.7206 0.5441 0.7339
O22 0.4266 0.3372 0.6949
O23 0.9993 0.0100 0.2859
O24 0.5958 0.8606 0.4921
O25 0.9042 0.8606 0.9921
O26 0.8873 0.6634 0.5156
O27 0.9266 0.6628 0.8051
O28 0.7295 0.9270 0.2402
P1 0.6014 0.8690 0.3145
P2 0.8986 0.8690 0.8145
P3 0.8580 0.5551 0.6902
P4 0.1014 0.1310 0.1855
P5 0.1420 0.4449 0.3098
P6 0.3986 0.1310 0.6855
P7 0.3580 0.4449 0.8098
P8 0.6420 0.5551 0.1902
Lu1 0.5965 0.7671 0.7521
Lu2 0.9035 0.7671 0.2521
Lu3 0.4035 0.2329 0.2479
Lu4 0.0965 0.2329 0.7479
K1 0.1782 0.8199 0.5665
K2 0.3218 0.8199 0.0665
K3 0.8218 0.1801 0.4335
K4 0.6782 0.1801 0.9335

Output
As for the energy relative to the elements: -3358.4 kJ/mol of formula units. For the total magnetization, the calculation gives 0.00 μB/cell.

=====

[8]
Below is a relaxed K3LuP2O8 crystal, with properties calculated at the PBE-GGA level.

a = 5.6547 Å, b = 7.5116 Å, c = 9.3580 Å
α = 88.61°, β = 90.00°, γ = 90.00°
Fractional positions:
O1 0.7500 0.4285 0.1040
O2 0.2500 0.8331 0.0659
O3 0.4748 0.8535 0.8302
O4 0.0252 0.8535 0.8302
O5 0.7500 0.0163 0.4722
O6 0.5256 0.7755 0.3380
O7 0.2500 0.2914 0.4283
O8 0.5252 0.1465 0.1698
O9 0.2500 0.9837 0.5278
O10 0.7500 0.1669 0.9341
O11 0.4744 0.2245 0.6620
O12 0.7500 0.7086 0.5717
O13 0.9748 0.1465 0.1698
O14 0.9744 0.7755 0.3380
O15 0.0256 0.2245 0.6620
O16 0.2500 0.5715 0.8960
K1 0.7500 0.7952 0.0803
K2 0.7500 0.5026 0.8083
K3 0.7500 0.3614 0.4142
K4 0.2500 0.4974 0.1917
K5 0.2500 0.2048 0.9197
K6 0.2500 0.6386 0.5858
P1 0.7500 0.8188 0.4287
P2 0.2500 0.1812 0.5713
P3 0.2500 0.7763 0.9068
P4 0.7500 0.2237 0.0932
Lu1 0.7500 0.0091 0.7144
Lu2 0.2500 0.9909 0.2856

Output
As for the energy relative to the elements: -4033.8 kJ/mol of formula units. For the total magnetization, the calculation gives 0.00 μB/cell. For the relative energy among the computed polymorphs, the calculation gives 20 meV per atom.

=====

Here are the calculated total DFT energy (no corrections) numbers, same order: -3.421 -3.479 -3.174 -1.383 -6.066 -6.772 -7.372 -6.755 (eV/atom).